LaSiRu: relaxed, meta-GGA r2SCAN.

ΔE_f: -82.2 kJ/mol of atoms

Cell: 4.2469 4.2469 7.1899 Å, 90.00 90.00 90.00°
Positions (direct):
La 0.2500 0.2500 0.1866
La 0.7500 0.7500 0.8134
Si 0.2500 0.2500 0.6627
Si 0.7500 0.7500 0.3373
Ru 0.2500 0.7500 0.5000
Ru 0.7500 0.2500 0.5000